Density functional theory data (GGA-PBE) for an optimized crystal structure of SbC6S2F19.

Properties
The size of the total moment comes out at 0.001 Bohr magnetons per cell. As for the energy: -5.1856 eV/atom. The MP2020-corrected energy is -5.499 eV/atom. The symmetry is No. 9. The formation energy comes out at -1.779 eV/atom.

```
data_SbC6S2F19
_chemical_formula_sum 'Sb2 C12 S4 F38'
_cell_length_a 9.631
_cell_length_b 9.631
_cell_length_c 10.697
_cell_angle_alpha 66.61
_cell_angle_beta 66.61
_cell_angle_gamma 73.78
_space_group_name_H-M_alt 'P 1'
_space_group_IT_number 1
_space_group_name_Hall 'P 1'
loop_
_atom_site_label
_atom_site_type_symbol
_atom_site_fract_x
_atom_site_fract_y
_atom_site_fract_z
_atom_site_occupancy
C1 C 0.088 0.245 0.963 1
C2 C 0.509 0.886 0.752 1
C3 C 0.915 0.759 0.033 1
C4 C 0.579 0.940 0.584 1
C5 C 0.058 0.424 0.914 1
C6 C 0.424 0.058 0.414 1
C7 C 0.759 0.915 0.533 1
C8 C 0.245 0.088 0.463 1
C9 C 0.117 0.496 0.745 1
C10 C 0.886 0.509 0.252 1
C11 C 0.940 0.579 0.084 1
C12 C 0.496 0.117 0.245 1
F1 F 0.452 0.374 0.879 1
F2 F 0.818 0.948 0.389 1
F3 F 0.580 0.266 0.651 1
F4 F 0.074 0.649 0.705 1
F5 F 0.419 0.733 0.349 1
F6 F 0.189 0.055 0.609 1
F7 F 0.435 0.056 0.189 1
F8 F 0.807 0.767 0.596 1
F9 F 0.193 0.996 0.429 1
F10 F 0.811 0.004 0.571 1
F11 F 0.546 0.625 0.122 1
F12 F 0.534 0.732 0.803 1
F13 F 0.733 0.419 0.849 1
F14 F 0.649 0.074 0.205 1
F15 F 0.948 0.818 0.889 1
F16 F 0.271 0.467 0.693 1
F17 F 0.732 0.534 0.303 1
F18 F 0.192 0.235 0.403 1
F19 F 0.860 0.311 0.619 1
F20 F 0.566 0.944 0.813 1
F21 F 0.354 0.931 0.788 1
F22 F 0.056 0.435 0.689 1
F23 F 0.944 0.566 0.313 1
F24 F 0.235 0.192 0.903 1
F25 F 0.688 0.139 0.880 1
F26 F 0.625 0.221 0.392 1
F27 F 0.996 0.193 0.929 1
F28 F 0.625 0.546 0.622 1
F29 F 0.467 0.271 0.193 1
F30 F 0.055 0.189 0.109 1
F31 F 0.767 0.807 0.096 1
F32 F 0.221 0.625 0.892 1
F33 F 0.004 0.811 0.071 1
F34 F 0.139 0.688 0.380 1
F35 F 0.374 0.452 0.379 1
F36 F 0.931 0.354 0.288 1
F37 F 0.311 0.860 0.119 1
F38 F 0.266 0.580 0.151 1
S1 S 0.140 0.487 0.012 1
S2 S 0.498 0.859 0.502 1
S3 S 0.487 0.140 0.512 1
S4 S 0.859 0.498 0.002 1
Sb1 Sb 0.659 0.341 0.750 1
Sb2 Sb 0.341 0.659 0.250 1
```